1.
## LaP12Ru4 (r²SCAN)

Data for an optimized crystal structure of LaP12Ru4. Values from VASP.

Cell and atoms, written as Quantum ESPRESSO input:
```
&SYSTEM
  ibrav = 0, nat = 17, ntyp = 3
/
ATOMIC_SPECIES
La 138.91 La.upf
P 30.97 P.upf
Ru 101.07 Ru.upf
CELL_PARAMETERS angstrom
-4.0398 4.0398 4.0398
4.0398 -4.0398 4.0398
4.0398 4.0398 -4.0398
ATOMIC_POSITIONS angstrom
La 0.0000 0.0000 0.0000
P 2.8972 1.1608 0.0000
P 5.1825 1.1608 0.0000
P 4.0398 -1.1426 2.8790
P 2.8790 4.0398 -1.1426
P 1.1608 0.0000 2.8972
P 4.0398 1.1426 2.8790
P 0.0000 2.8972 1.1608
P 2.8790 4.0398 1.1426
P 1.1608 0.0000 5.1825
P 0.0000 5.1825 1.1608
P -1.1426 2.8790 4.0398
P 1.1426 2.8790 4.0398
Ru 2.0199 2.0199 -2.0199
Ru 2.0199 -2.0199 2.0199
Ru -2.0199 2.0199 2.0199
Ru 2.0199 2.0199 2.0199
```

## Properties
Formation enthalpy at 0 K   -755 meV/atom
V   263.72 Å³/cell
SG   Im-3

2.
## Mg3In (r²SCAN)

Data for an optimized crystal structure of Mg3In. Values from VASP.

Cell and atoms, written as Quantum ESPRESSO input:
```
&SYSTEM
  ibrav = 0, nat = 8, ntyp = 2
/
ATOMIC_SPECIES
Mg 24.30 Mg.upf
In 114.82 In.upf
CELL_PARAMETERS angstrom
6.3143 0.0000 0.0000
-3.1572 5.4684 0.0000
0.0000 0.0000 5.1096
ATOMIC_POSITIONS angstrom
Mg 0.0000 1.8215 1.2774
Mg -1.5797 4.5576 1.2774
Mg 1.5774 0.9107 3.8322
Mg 1.5797 4.5576 1.2774
Mg 4.7369 0.9107 3.8322
Mg 3.1572 3.6469 3.8322
In 0.0000 3.6456 3.8322
In 3.1572 1.8228 1.2774
```

## Properties
Formation enthalpy at 0 K   -105 meV/atom
V   176.43 Å³/cell
SG   P6_3/mmc

3.
## La2GeO5 (r²SCAN)

Data for an optimized crystal structure of La2GeO5. Values from VASP.

Cell and atoms, written as Quantum ESPRESSO input:
```
&SYSTEM
  ibrav = 0, nat = 32, ntyp = 3
/
ATOMIC_SPECIES
La 138.91 La.upf
Ge 72.64 Ge.upf
O 16.00 O.upf
CELL_PARAMETERS angstrom
9.6081 0.0000 0.0000
0.0000 7.4727 0.0000
-2.1248 0.0000 6.7761
ATOMIC_POSITIONS angstrom
La -0.2902 0.9324 1.5904
La -1.3526 2.8040 4.9785
La 3.4972 1.0808 0.5663
La 2.4348 2.6555 3.9543
La 5.0484 4.8172 2.8217
La 3.9860 6.3919 6.2098
La 8.8358 4.6688 1.7976
La 7.7734 6.5403 5.1856
Ge 2.7780 4.3964 0.2722
Ge 1.7156 6.8127 3.6603
Ge 5.7676 0.6600 3.1158
Ge 4.7052 3.0764 6.5038
O -1.0457 4.7649 6.7104
O 0.0167 6.4441 3.3224
O -0.9235 0.9057 6.4305
O 0.1389 2.8307 3.0425
O 2.0432 0.5709 2.4105
O 0.9808 3.1655 5.7986
O 1.9545 0.3367 5.0816
O 3.0169 3.3997 1.6936
O 2.7467 5.4345 3.7452
O 3.8091 5.7745 0.3572
O 3.6741 1.6982 6.4188
O 4.7365 2.0382 3.0308
O 4.4663 4.0730 5.0825
O 5.5287 7.1360 1.6945
O 6.5024 4.3073 0.9775
O 5.4400 6.9018 4.3655
O 7.3444 4.6420 3.7336
O 8.4068 6.5670 0.3455
O 7.4666 1.0286 3.4537
O 8.5290 2.7078 0.0656
```

## Properties
Formation enthalpy at 0 K   -3158 meV/atom
V   486.51 Å³/cell
SG   P2_1/c

4.
## Rb2CoP4H8O16 (r²SCAN)

Data for an optimized crystal structure of Rb2CoP4H8O16. Values from VASP.

Cell and atoms, written as Quantum ESPRESSO input:
```
&SYSTEM
  ibrav = 0, nat = 62, ntyp = 5
/
ATOMIC_SPECIES
Rb 85.47 Rb.upf
H 1.01 H.upf
P 30.97 P.upf
O 16.00 O.upf
Co 58.93 Co.upf
CELL_PARAMETERS angstrom
-5.1217 -0.2390 5.1750
4.7587 -4.1604 5.6061
3.5893 9.6360 6.1564
ATOMIC_POSITIONS angstrom
Rb -0.0907 -0.8340 8.2525
Rb 3.3170 6.0706 8.6850
Rb -0.6750 6.0639 8.5275
Rb 3.9013 -0.8273 8.4101
H -0.8933 2.4117 7.4935
H 1.2659 -1.3111 4.6303
H 4.2117 2.4259 7.8949
H 3.3944 7.8624 5.9594
H 1.9604 6.5477 12.3073
H 5.4396 1.4266 10.5118
H 3.1890 5.5484 14.9245
H -0.0543 0.0878 3.5622
H -2.2133 3.8100 6.4257
H 3.9798 0.9642 5.6841
H -0.7535 4.2725 11.2534
H 0.0373 -0.3118 2.0131
H 4.1196 2.8250 9.4441
H -0.9854 2.8107 9.0426
H 3.2806 5.1488 13.3753
H -0.1681 -2.6257 10.9781
P 1.8964 3.8427 5.4799
P 1.3298 1.3939 11.4576
P 2.4811 -3.0559 5.2044
P 1.4234 4.2929 11.3064
P -2.7504 1.5553 5.4247
P 0.7452 8.2926 11.7332
P 1.8029 0.9437 5.6312
P 5.9767 3.6813 11.5128
O -0.5160 0.1343 2.6945
O 2.1474 -2.8381 6.6492
O 0.5868 -2.2233 11.5545
O 3.6585 2.8725 8.5760
O -1.7432 2.5017 6.0075
O -0.1295 1.2472 11.8198
O 3.9403 -2.9094 4.8423
O 1.3978 4.1859 9.8111
O 0.7959 -0.0023 5.0478
O 2.6395 7.4599 5.3831
O 2.2357 0.5604 12.4019
O 1.7801 2.8658 11.9372
O 1.5627 4.0607 6.9247
O 4.9695 2.7349 10.9301
O 1.4462 2.3708 5.0004
O 1.0788 8.0747 10.2884
O 3.3558 3.9895 5.1178
O -0.7140 8.1460 12.0952
O 1.9826 -2.7131 9.5358
O 0.0018 4.6745 11.8298
O -0.4323 2.3641 8.3615
O 2.4304 5.2389 11.8897
O 1.6512 7.4589 12.6773
O 1.8285 1.0508 7.1265
O -2.3938 0.1286 6.0562
O 1.6636 1.1759 10.0128
O 3.2245 0.5621 5.1077
O 5.6201 5.1080 10.8814
O 0.9905 4.6762 4.5357
O 1.2437 7.9497 7.4018
O 3.7422 5.1023 14.2431
O 1.5750 -2.2223 4.2602
Co 1.0285 9.5165 8.7440
Co 1.6131 2.6183 8.4688
```

## Properties
Formation enthalpy at 0 K   -1862 meV/atom
V   724.63 Å³/cell

5.
## Tl5Se3 (r²SCAN)

Data for an optimized crystal structure of Tl5Se3. Values from VASP.

Cell and atoms, written as Quantum ESPRESSO input:
```
&SYSTEM
  ibrav = 0, nat = 32, ntyp = 2
/
ATOMIC_SPECIES
Tl 204.38 Tl.upf
Se 78.96 Se.upf
CELL_PARAMETERS angstrom
8.5709 0.0000 0.0000
0.0000 8.5709 0.0000
0.0000 0.0000 12.7525
ATOMIC_POSITIONS angstrom
Tl 0.6543 5.3793 1.2460
Tl 0.6526 7.4705 7.6169
Tl 1.1003 4.9380 5.1356
Tl 1.0939 7.9166 11.5064
Tl 2.1427 2.1427 2.6870
Tl 2.1427 2.1427 9.0707
Tl 3.1915 4.9397 11.5064
Tl 3.1851 7.9183 5.1356
Tl 3.6328 5.3858 7.6169
Tl 3.6312 7.4770 1.2460
Tl 4.9397 1.0939 11.5064
Tl 4.9380 3.1851 5.1356
Tl 5.3858 0.6526 7.6169
Tl 5.3793 3.6312 1.2460
Tl 6.4281 6.4281 3.6818
Tl 6.4281 6.4281 10.0655
Tl 7.4770 0.6543 1.2460
Tl 7.4705 3.6328 7.6169
Tl 7.9183 1.1003 5.1356
Tl 7.9166 3.1915 11.5064
Se 0.7152 7.7991 3.2033
Se 0.7717 5.0006 9.5492
Se 2.1427 2.1427 6.1136
Se 2.1427 2.1427 12.4430
Se 3.5137 7.8557 9.5492
Se 3.5703 5.0571 3.2033
Se 5.0006 3.5137 9.5492
Se 5.0571 0.7152 3.2033
Se 6.4281 6.4281 0.3095
Se 6.4281 6.4281 6.6389
Se 7.7991 3.5703 3.2033
Se 7.8557 0.7717 9.5492
```

## Properties
Formation enthalpy at 0 K   -415 meV/atom
V   936.79 Å³/cell
SG   P4/n

6.
## ScP (r²SCAN)

Data for an optimized crystal structure of ScP. Values from VASP.

Cell and atoms, written as Quantum ESPRESSO input:
```
&SYSTEM
  ibrav = 0, nat = 2, ntyp = 2
/
ATOMIC_SPECIES
Sc 44.96 Sc.upf
P 30.97 P.upf
CELL_PARAMETERS angstrom
0.0000 2.6634 2.6634
2.6634 0.0000 2.6634
2.6634 2.6634 0.0000
ATOMIC_POSITIONS angstrom
Sc 0.0000 0.0000 0.0000
P 2.6634 2.6634 2.6634
```

## Properties
Formation enthalpy at 0 K   -1666 meV/atom
V   37.79 Å³/cell
SG   Fm-3m

7.
## EuIn2Au (r²SCAN)

Data for an optimized crystal structure of EuIn2Au. Values from VASP.

Cell and atoms, written as Quantum ESPRESSO input:
```
&SYSTEM
  ibrav = 0, nat = 8, ntyp = 3
/
ATOMIC_SPECIES
Eu 151.96 Eu.upf
In 114.82 In.upf
Au 196.97 Au.upf
CELL_PARAMETERS angstrom
4.6860 0.0000 0.0000
0.0000 7.5617 0.0000
-2.3354 0.0000 5.5557
ATOMIC_POSITIONS angstrom
Eu 0.0017 1.8904 0.8605
Eu 2.3488 5.6713 4.6953
In 0.0063 0.3922 4.0514
In 0.0063 3.3886 4.0514
In 2.3443 4.1731 1.5043
In 2.3443 7.1695 1.5043
Au 0.0012 5.6713 2.3320
Au 2.3494 1.8904 3.2237
```

## Properties
Formation enthalpy at 0 K   -660 meV/atom
V   196.86 Å³/cell
SG   P2_1/m

8.
## MgSn2O4 (r²SCAN)

Data for an optimized crystal structure of MgSn2O4. Values from VASP.

Cell and atoms, written as Quantum ESPRESSO input:
```
&SYSTEM
  ibrav = 0, nat = 28, ntyp = 3
/
ATOMIC_SPECIES
Mg 24.30 Mg.upf
Sn 118.71 Sn.upf
O 16.00 O.upf
CELL_PARAMETERS angstrom
7.9916 0.0000 0.0000
0.0000 3.0657 0.0000
0.0000 0.0000 15.1926
ATOMIC_POSITIONS angstrom
Mg 1.7832 0.7664 3.5913
Mg 2.2126 2.2992 11.1875
Mg 5.7790 0.7664 4.0050
Mg 6.2083 2.2992 11.6013
Sn 0.2905 2.2992 13.7177
Sn 0.3160 2.2992 6.1759
Sn 3.6798 0.7664 13.7722
Sn 3.7052 0.7664 6.1214
Sn 4.2863 2.2992 9.0712
Sn 4.3118 2.2992 1.4204
Sn 7.6756 0.7664 9.0167
Sn 7.7010 0.7664 1.4749
O 0.4268 2.2992 10.1617
O 0.8697 2.2992 2.5369
O 1.0743 0.7664 7.3946
O 1.9187 0.7664 12.6435
O 2.0771 2.2992 5.0472
O 2.9215 2.2992 14.9909
O 3.1260 0.7664 10.1332
O 3.5690 0.7664 2.5654
O 4.4226 2.2992 12.6272
O 4.8655 2.2992 5.0594
O 5.0700 0.7664 0.2017
O 5.9145 0.7664 10.1454
O 6.0729 2.2992 2.5491
O 6.9173 2.2992 7.7980
O 7.1218 0.7664 12.6557
O 7.5647 0.7664 5.0309
```

## Properties
Formation enthalpy at 0 K   -1871 meV/atom
V   372.21 Å³/cell
SG   Pnma

9.
## SiO2 (r²SCAN)

Data for an optimized crystal structure of SiO2. Values from VASP.

Cell and atoms, written as Quantum ESPRESSO input:
```
&SYSTEM
  ibrav = 0, nat = 48, ntyp = 2
/
ATOMIC_SPECIES
Si 28.09 Si.upf
O 16.00 O.upf
CELL_PARAMETERS angstrom
-2.6244 6.9962 12.9757
2.6244 -6.9962 12.9757
2.6244 6.9962 -12.9757
ATOMIC_POSITIONS angstrom
Si 2.6244 -0.7523 2.7550
Si 2.6244 -1.9514 5.6076
Si 0.0000 0.5552 1.5255
Si 2.6244 5.0448 -5.6076
Si 2.6244 3.4981 -1.1569
Si 0.0000 3.4981 0.6693
Si 2.6244 6.2439 -2.7550
Si 2.6244 0.5552 11.4503
Si 0.0000 6.4410 1.5255
Si 0.0000 0.7523 15.7307
Si 2.6244 3.4981 12.3064
Si 0.0000 3.4981 14.1326
Si 0.0000 1.9514 18.5833
Si 2.6244 6.4410 11.4503
Si 0.0000 8.9475 7.3681
Si 0.0000 7.7484 10.2207
O 0.0000 0.0000 0.0000
O 2.6244 3.4981 -5.1095
O 2.6244 2.2015 -2.0819
O 1.3125 0.0491 2.2971
O 3.9364 0.0491 2.2971
O 2.6244 -0.9494 4.3510
O 1.3122 5.3328 -6.4879
O 1.3122 -1.6634 6.4879
O 0.0000 2.1680 1.5715
O 1.3105 3.4981 -0.2495
O 1.3139 -3.4981 12.7262
O 2.6244 4.7946 -2.0819
O 2.6244 6.0468 -4.3510
O 0.0000 4.8282 1.5715
O 1.3125 7.0453 -2.2971
O 1.3119 0.0491 10.6786
O 0.0000 6.9962 0.0000
O 1.3125 6.9470 2.2971
O 1.3119 -0.0491 15.2728
O 2.6244 2.1680 11.4042
O 0.0000 0.9494 17.3267
O 0.0000 2.2015 15.0576
O 1.3105 10.4942 0.2495
O 1.3139 3.4981 13.2253
O 2.6244 4.8282 11.4042
O -1.3122 8.6595 6.4879
O 1.3122 8.6595 6.4879
O 0.0000 7.9455 8.6247
O -1.3119 6.9470 10.6786
O 1.3119 6.9470 10.6786
O 0.0000 4.7946 15.0576
O 0.0000 3.4981 18.0852
```

## Properties
Formation enthalpy at 0 K   -3015 meV/atom
V   952.98 Å³/cell
SG   Imma

10.
## Cs2CaH4 (r²SCAN)

Data for an optimized crystal structure of Cs2CaH4. Values from VASP.

Cell and atoms, written as Quantum ESPRESSO input:
```
&SYSTEM
  ibrav = 0, nat = 7, ntyp = 3
/
ATOMIC_SPECIES
Cs 132.91 Cs.upf
Ca 40.08 Ca.upf
H 1.01 H.upf
CELL_PARAMETERS angstrom
-2.3016 2.3016 7.7539
2.3016 -2.3016 7.7539
2.3016 2.3016 -7.7539
ATOMIC_POSITIONS angstrom
Cs 0.0000 0.0000 2.2961
Cs 0.0000 0.0000 13.2117
Ca 0.0000 0.0000 7.7539
H 2.3016 0.0000 0.0000
H 0.0000 0.0000 5.4506
H 0.0000 2.3016 0.0000
H 0.0000 0.0000 10.0571
```

## Properties
Formation enthalpy at 0 K   -439 meV/atom
V   164.29 Å³/cell
SG   I4/mmm

11.
## Al2O3 (r²SCAN)

Data for an optimized crystal structure of Al2O3. Values from VASP.

Cell and atoms, written as Quantum ESPRESSO input:
```
&SYSTEM
  ibrav = 0, nat = 40, ntyp = 2
/
ATOMIC_SPECIES
Al 26.98 Al.upf
O 16.00 O.upf
CELL_PARAMETERS angstrom
3.9609 -3.9569 0.0000
3.9609 3.9569 0.0000
-3.7274 0.0000 11.6939
ATOMIC_POSITIONS angstrom
Al 0.0000 0.0000 0.0000
Al -1.8637 0.0000 5.8469
Al 1.1653 2.9707 8.7704
Al 1.9865 1.9087 3.9772
Al -0.8224 1.0698 10.7273
Al 0.1992 0.1014 7.6966
Al 2.0629 -0.1014 1.8496
Al 4.0715 1.9087 1.8698
Al 1.0413 -1.0698 4.8804
Al 3.1530 1.0698 6.8135
Al 0.1228 -1.9087 9.8241
Al 2.1314 0.1014 9.8443
Al 3.9951 -0.1014 3.9973
Al 5.0167 -1.0698 0.9666
Al 2.2078 -1.9087 7.7167
Al 3.0290 -2.9707 2.9235
O -1.7544 0.0981 7.7622
O 0.0673 1.9159 7.9098
O 0.1093 -0.0981 1.9152
O 2.1178 1.8566 2.0448
O 1.8897 0.0693 0.0495
O 3.9077 2.0746 0.0555
O 2.1503 2.0746 5.7915
O 0.0260 -0.0693 5.8965
O 3.9402 1.8566 3.8022
O 2.1020 0.0192 3.8646
O 0.2383 -0.0192 9.7115
O 2.2633 1.9159 9.6311
O 1.9310 -1.9159 2.0628
O 3.9560 0.0192 1.9824
O 2.0923 -0.0192 7.8293
O 0.2541 -1.8566 7.8917
O 4.1683 0.0693 5.7974
O 2.0440 -2.0746 5.9024
O 0.2866 -2.0746 11.6384
O 2.3046 -0.0693 11.6443
O 2.0765 -1.8566 9.6491
O 4.0850 0.0981 9.7786
O 4.1270 -1.9159 3.7841
O 5.9487 -0.0981 3.9317
```

## Properties
Formation enthalpy at 0 K   -3310 meV/atom
V   366.55 Å³/cell
SG   C2/c

12.
## CsPSe6 (r²SCAN)

Data for an optimized crystal structure of CsPSe6. Values from VASP.

Cell and atoms, written as Quantum ESPRESSO input:
```
&SYSTEM
  ibrav = 0, nat = 32, ntyp = 3
/
ATOMIC_SPECIES
Cs 132.91 Cs.upf
P 30.97 P.upf
Se 78.96 Se.upf
CELL_PARAMETERS angstrom
7.0349 0.0000 0.0000
0.0000 12.9501 0.0000
-6.7090 0.0000 11.4180
ATOMIC_POSITIONS angstrom
Cs 0.0000 0.0236 0.0000
Cs -3.3545 12.9265 5.7090
Cs -1.4570 6.1965 8.5567
Cs 1.8975 6.7536 2.8477
P -4.9824 2.0644 8.5641
P -1.6278 10.8857 2.8551
P -1.6179 4.5119 2.8504
P -4.9724 8.4382 8.5594
Se -5.9417 3.4149 10.1411
Se -2.5871 9.5352 4.4321
Se -4.0058 3.3967 6.9797
Se -0.6513 9.5534 1.2707
Se -1.6544 5.6308 4.6852
Se -5.0089 7.3193 10.3942
Se 0.2076 3.1862 2.6401
Se -3.1470 9.7639 8.3491
Se -3.3422 0.9391 9.3729
Se 0.0123 12.0111 3.6639
Se -3.9502 4.2533 11.1202
Se -0.5956 8.6968 5.4112
Se 0.2598 2.2998 4.8445
Se -3.0947 10.6503 10.5535
Se 3.5158 2.2973 0.8747
Se 0.1613 10.6528 6.5837
Se 1.0438 4.2520 6.0031
Se 4.3983 8.6981 0.2941
Se 0.3899 0.9675 7.7623
Se 3.7444 11.9827 2.0533
Se 3.5814 3.1986 3.0692
Se 0.2268 9.7515 8.7782
Se 5.4584 5.6231 1.0126
Se 2.1039 7.3270 6.7216
```

## Properties
Formation enthalpy at 0 K   -434 meV/atom
V   1040.20 Å³/cell
SG   Pc

no.,E_tot (Ry/atom)
1,-1.0908
2,-0.6524
3,-1.1804
4,-0.6118
5,-2.8678
6,-0.8722
7,-2.5156
8,-0.9518
9,-0.7292
10,-0.7785
11,-0.7046
12,-1.1342